This record from the Materials Project database describes an optimized crystal structure of Cu2SnTe3. The functional is PBE-GGA.

abc: 7.5439 7.5439 7.5637
angles: 80.32 80.32 119.92
Closest atoms and distances in Å follow each position.
Positions (direct):
Cu1 0.8361 0.3341 0.5020  4 Te 2.58-2.59
Cu2 0.1544 0.9894 0.5034  4 Te 2.59-2.61
Cu3 0.9894 0.1544 0.0034  4 Te 2.59-2.61
Te1 0.1815 0.7100 0.3642  3 Cu 2.58-2.59, 1 Sn 2.82
Te2 0.7100 0.1815 0.8642  3 Cu 2.58-2.59, 1 Sn 2.82
Sn1 0.5011 0.6806 0.4885  4 Te 2.82-2.89
Te3 0.5319 0.3405 0.3911  2 Cu 2.59-2.60, 2 Sn 2.87-2.89
Te4 0.0717 0.9023 0.8673  3 Cu 2.59-2.61, 1 Sn 2.82
Te5 0.9023 0.0717 0.3673  3 Cu 2.59-2.61, 1 Sn 2.82
Cu4 0.3341 0.8361 0.0020  4 Te 2.58-2.59
Sn2 0.6806 0.5011 0.9885  4 Te 2.82-2.89
Te6 0.3405 0.5319 0.8911  2 Cu 2.59-2.60, 2 Sn 2.87-2.89

The space group is Cc, No. 9. As for the formation energy: -347.9 meV/atom. The value obtained for the total DFT energy (no corrections) is -3.74 eV per atom.